The following is a DFT calculation (PBE+U) of crystalline VFeMoO7 at its relaxed geometry.

Lattice parameters (Å, degrees): 5.6536 6.8123 8.0501 95.74 90.18 101.41
Last column: nearest neighbours and their distance in Å.
Fractional positions:
V1 0.6920 0.7610 0.3358  4 O 1.69-1.83
V2 0.3080 0.2390 0.6642  4 O 1.69-1.83
Fe1 0.1719 0.6916 0.5955  6 O 1.99-2.10
Fe2 0.8281 0.3084 0.4045  6 O 1.99-2.10
Mo1 0.7033 0.7862 0.8906  4 O 1.73-1.89
Mo2 0.2967 0.2138 0.1094  4 O 1.73-1.89
O1 0.7785 0.0453 0.8962  1 Mo 1.73
O2 0.2215 0.9547 0.1038  1 Mo 1.73
O3 0.4280 0.7037 0.7692  1 Mo 1.80, 1 Fe 1.99
O4 0.5720 0.2963 0.2308  1 Mo 1.80, 1 Fe 1.99
O5 0.9326 0.6832 0.7815  1 Mo 1.79
O6 0.0674 0.3168 0.2185  1 Mo 1.79
O7 0.2043 0.9900 0.6128  1 V 1.69
O8 0.7957 0.0100 0.3872  1 V 1.69
O9 0.1076 0.3758 0.5765  1 V 1.79
O10 0.8924 0.6242 0.4235  1 V 1.79
O11 0.4153 0.6945 0.4176  1 V 1.69
O12 0.6652 0.7076 0.1089  1 V 1.83, 1 Mo 1.89
O13 0.5847 0.3055 0.5824  1 V 1.69
O14 0.3348 0.2924 0.8911  1 V 1.83, 1 Mo 1.89

* DFT formation energy: -2.02 eV/atom
* symmetry: No. 2
* total magnetization: 0.50 μB per atom

***

The following is a DFT calculation (PBE+U) of crystalline V2Fe4Mo3O20 at its relaxed geometry.

Lattice parameters (Å, degrees): 9.6880 9.6880 17.4489 90.00 90.00 90.00
Last column: nearest neighbours and their distance in Å.
Fractional positions:
V1 0.5000 0.1638 0.0000  4 O 1.70-1.81
V2 0.5000 0.8362 0.5000  4 O 1.70-1.81
V3 0.8362 0.5000 0.2500  4 O 1.70-1.81
V4 0.1638 0.5000 0.7500  4 O 1.70-1.81
V5 0.0000 0.6628 0.0000  4 O 1.70-1.82
V6 0.0000 0.3372 0.5000  4 O 1.70-1.82
V7 0.3372 0.0000 0.2500  4 O 1.70-1.82
V8 0.6628 0.0000 0.7500  4 O 1.70-1.82
Fe1 0.0954 0.2564 0.3113  6 O 1.98-2.09
Fe2 0.9046 0.7436 0.8113  6 O 1.98-2.09
Fe3 0.7436 0.0954 0.5613  6 O 1.98-2.09
Fe4 0.9046 0.2564 0.6887  6 O 1.98-2.09
Fe5 0.2564 0.9046 0.0613  6 O 1.98-2.09
Fe6 0.0954 0.7436 0.1887  6 O 1.98-2.09
Fe7 0.2564 0.0954 0.4387  6 O 1.98-2.09
Fe8 0.7436 0.9046 0.9387  6 O 1.98-2.09
Fe9 0.5952 0.2477 0.1890  6 O 2.00-2.07
Fe10 0.4048 0.7523 0.6890  6 O 2.00-2.07
Fe11 0.7523 0.5952 0.4390  6 O 2.00-2.07
Fe12 0.4048 0.2477 0.8110  6 O 2.00-2.07
Fe13 0.2477 0.4048 0.9390  6 O 2.00-2.07
Fe14 0.5952 0.7523 0.3110  6 O 2.00-2.07
Fe15 0.2477 0.5952 0.5610  6 O 2.00-2.07
Fe16 0.7523 0.4048 0.0610  6 O 2.00-2.07
Mo1 0.0000 0.1591 0.0000  4 O 1.78-1.80
Mo2 0.0000 0.8409 0.5000  4 O 1.78-1.80
Mo3 0.8409 0.0000 0.2500  4 O 1.78-1.80
Mo4 0.1591 0.0000 0.7500  4 O 1.78-1.80
Mo5 0.2668 0.4011 0.1543  4 O 1.79-1.81
Mo6 0.7332 0.5989 0.6543  4 O 1.79-1.81
Mo7 0.5989 0.2668 0.4043  4 O 1.79-1.81
Mo8 0.7332 0.4011 0.8457  4 O 1.79-1.81
Mo9 0.4011 0.7332 0.9043  4 O 1.79-1.81
Mo10 0.2668 0.5989 0.3457  4 O 1.79-1.81
Mo11 0.4011 0.2668 0.5957  4 O 1.79-1.81
Mo12 0.5989 0.7332 0.0957  4 O 1.79-1.81
O1 0.2404 0.0973 0.3212  1 V 1.82
O2 0.7596 0.9027 0.8212  1 V 1.82
O3 0.9027 0.2404 0.5712  1 V 1.82
O4 0.7596 0.0973 0.6788  1 V 1.82
O5 0.0973 0.7596 0.0712  1 V 1.82
O6 0.2404 0.9027 0.1788  1 V 1.82
O7 0.0973 0.2404 0.4288  1 V 1.82
O8 0.9027 0.7596 0.9288  1 V 1.82
O9 0.5946 0.2612 0.0716  1 V 1.81
O10 0.4054 0.7388 0.5716  1 V 1.81
O11 0.7388 0.5946 0.3216  1 V 1.81
O12 0.4054 0.2612 0.9284  1 V 1.81
O13 0.2612 0.4054 0.8216  1 V 1.81
O14 0.5946 0.7388 0.4284  1 V 1.81
O15 0.2612 0.5946 0.6784  1 V 1.81
O16 0.7388 0.4054 0.1784  1 V 1.81
O17 0.2594 0.3712 0.0531  1 Mo 1.79
O18 0.7406 0.6288 0.5531  1 Mo 1.79
O19 0.6288 0.2594 0.3031  1 Mo 1.79
O20 0.7406 0.3712 0.9469  1 Mo 1.79
O21 0.3712 0.7406 0.8031  1 Mo 1.79
O22 0.2594 0.6288 0.4469  1 Mo 1.79
O23 0.3712 0.2594 0.6969  1 Mo 1.79
O24 0.6288 0.7406 0.1969  1 Mo 1.79
O25 0.4430 0.1098 0.2023  1 V 1.70
O26 0.5570 0.8902 0.7023  1 V 1.70
O27 0.8902 0.4430 0.4523  1 V 1.70
O28 0.5570 0.1098 0.7977  1 V 1.70
O29 0.1098 0.5570 0.9523  1 V 1.70
O30 0.4430 0.8902 0.2977  1 V 1.70
O31 0.1098 0.4430 0.5477  1 V 1.70
O32 0.8902 0.5570 0.0477  1 V 1.70
O33 0.2196 0.4235 0.3267  1 Mo 1.79
O34 0.7804 0.5765 0.8267  1 Mo 1.79
O35 0.5765 0.2196 0.5767  1 Mo 1.79
O36 0.7804 0.4235 0.6733  1 Mo 1.79
O37 0.4235 0.7804 0.0767  1 Mo 1.79
O38 0.2196 0.5765 0.1733  1 Mo 1.79
O39 0.4235 0.2196 0.4233  1 Mo 1.79
O40 0.5765 0.7804 0.9233  1 Mo 1.79
O41 0.1127 0.0498 0.0534  1 Mo 1.78, 1 Fe 1.98
O42 0.8873 0.9502 0.5534  1 Mo 1.78, 1 Fe 1.98
O43 0.9502 0.1127 0.3034  1 Mo 1.78, 1 Fe 1.98
O44 0.8873 0.0498 0.9466  1 Mo 1.78, 1 Fe 1.98
O45 0.0498 0.8873 0.8034  1 Mo 1.78, 1 Fe 1.98
O46 0.1127 0.9502 0.4466  1 Mo 1.78, 1 Fe 1.98
O47 0.0498 0.1127 0.6966  1 Mo 1.78, 1 Fe 1.98
O48 0.9502 0.8873 0.1966  1 Mo 1.78, 1 Fe 1.98
O49 0.4411 0.3856 0.1868  1 Mo 1.79
O50 0.5589 0.6144 0.6868  1 Mo 1.79
O51 0.6144 0.4411 0.4368  1 Mo 1.79
O52 0.5589 0.3856 0.8132  1 Mo 1.79
O53 0.3856 0.5589 0.9368  1 Mo 1.79
O54 0.4411 0.6144 0.3132  1 Mo 1.79
O55 0.3856 0.4411 0.5632  1 Mo 1.79
O56 0.6144 0.5589 0.0632  1 Mo 1.79
O57 0.7347 0.0955 0.1843  1 Mo 1.80, 1 Fe 2.00
O58 0.2653 0.9045 0.6843  1 Mo 1.80, 1 Fe 2.00
O59 0.9045 0.7347 0.4343  1 Mo 1.80, 1 Fe 2.00
O60 0.2653 0.0955 0.8157  1 Mo 1.80, 1 Fe 2.00
O61 0.0955 0.2653 0.9343  1 Mo 1.80, 1 Fe 2.00
O62 0.7347 0.9045 0.3157  1 Mo 1.80, 1 Fe 2.00
O63 0.0955 0.7347 0.5657  1 Mo 1.80, 1 Fe 2.00
O64 0.9045 0.2653 0.0657  1 Mo 1.80, 1 Fe 2.00
O65 0.1546 0.2774 0.2006  1 Mo 1.81, 1 Fe 2.02
O66 0.8454 0.7226 0.7006  1 Mo 1.81, 1 Fe 2.02
O67 0.7226 0.1546 0.4506  1 Mo 1.81, 1 Fe 2.02
O68 0.8454 0.2774 0.7994  1 Mo 1.81, 1 Fe 2.02
O69 0.2774 0.8454 0.9506  1 Mo 1.81, 1 Fe 2.02
O70 0.1546 0.7226 0.2994  1 Mo 1.81, 1 Fe 2.02
O71 0.2774 0.1546 0.5494  1 Mo 1.81, 1 Fe 2.02
O72 0.7226 0.8454 0.0494  1 Mo 1.81, 1 Fe 2.02
O73 0.3872 0.0604 0.0472  1 V 1.70
O74 0.6128 0.9396 0.5472  1 V 1.70
O75 0.9396 0.3872 0.2972  1 V 1.70
O76 0.6128 0.0604 0.9528  1 V 1.70
O77 0.0604 0.6128 0.7972  1 V 1.70
O78 0.3872 0.9396 0.4528  1 V 1.70
O79 0.0604 0.3872 0.7028  1 V 1.70
O80 0.9396 0.6128 0.2028  1 V 1.70

* DFT formation energy: -1.96 eV/atom
* symmetry: No. 91
* total magnetization: 0.69 μB per atom

***

The following is a DFT calculation (PBE+U) of crystalline FeS6N9O18 at its relaxed geometry.

Lattice parameters (Å, degrees): 7.2633 10.6953 11.0938 118.72 89.13 92.37
Last column: nearest neighbours and their distance in Å.
Fractional positions:
Fe1 0.0000 0.0000 0.0000  2 O 1.96
S1 0.7975 0.0190 0.7120  3 O 1.43-1.45
S2 0.8404 0.6917 0.9748  3 O 1.46-1.56
S3 0.7940 0.2895 0.3064  3 O 1.43-1.44
S4 0.2025 0.9810 0.2880  3 O 1.43-1.45
S5 0.1596 0.3083 0.0252  3 O 1.46-1.56
S6 0.2060 0.7105 0.6936  3 O 1.43-1.44
N1 0.6502 0.6583 0.6166  4 O 2.97-3.13, 1 S 3.32
N2 0.6527 0.9512 0.3375  4 O 2.94-3.12
N3 0.6527 0.3856 0.0460  4 O 2.99-3.24
N4 0.3498 0.3417 0.3834  4 O 2.97-3.13, 1 S 3.32
N5 0.3473 0.0488 0.6625  4 O 2.94-3.12
N6 0.3473 0.6144 0.9540  4 O 2.99-3.24
N7 0.0156 0.6666 0.3327  5 O 2.84-3.11
N8 0.9844 0.3334 0.6673  5 O 2.84-3.11
N9 0.5000 0.0000 0.0000  6 O 3.02-3.06
O1 0.8169 0.9085 0.5728  1 S 1.43
O2 0.8003 0.6788 0.0982  1 S 1.46
O3 0.8132 0.4356 0.3371  1 S 1.43
O4 0.1831 0.0915 0.4272  1 S 1.43
O5 0.1997 0.3212 0.9018  1 S 1.46
O6 0.1868 0.5644 0.6629  1 S 1.43
O7 0.7432 0.1594 0.7465  1 S 1.43
O8 0.7316 0.6047 0.8494  1 S 1.47
O9 0.7433 0.2494 0.4089  1 S 1.43
O10 0.2568 0.8406 0.2535  1 S 1.43
O11 0.2684 0.3953 0.1506  1 S 1.47
O12 0.2567 0.7506 0.5911  1 S 1.43
O13 0.8316 0.9844 0.8204  1 S 1.45
O14 0.8441 0.8517 0.0113  1 S 1.56
O15 0.8278 0.1790 0.1680  1 S 1.44
O16 0.1684 0.0156 0.1796  1 S 1.45
O17 0.1559 0.1483 0.9887  1 S 1.56
O18 0.1722 0.8210 0.8320  1 S 1.44

* DFT formation energy: 0.32 eV/atom
* symmetry: No. 2
* total magnetization: 0.85 μB per atom

***

Look up the total magnetization of the second one.
0.69 μB per atom

***

Among the records above, which one has the highest DFT formation energy?
FeS6N9O18